(1)
Computed, not measured: an optimized crystal structure of MgTi5O10 at the PBE level of DFT.

Summary:
Calculated total energy (eV per cell): -276.42
E_form (eV per atom): -3.41
Space-group type: P2_1/m, No. 11

a b c (Å): 5.268 10.065 7.555
angles (deg): 90.00 109.37 90.00
Positions (direct):
Mg (0.041, 0.250, 0.153)
Mg (0.959, 0.750, 0.847)
Ti (0.045, 0.061, 0.821)
Ti (0.045, 0.439, 0.821)
Ti (0.454, 0.564, 0.684)
Ti (0.454, 0.936, 0.684)
Ti (0.456, 0.750, 0.346)
Ti (0.544, 0.250, 0.654)
Ti (0.546, 0.064, 0.316)
Ti (0.546, 0.436, 0.316)
Ti (0.955, 0.561, 0.179)
Ti (0.955, 0.939, 0.179)
O (0.096, 0.750, 0.143)
O (0.182, 0.612, 0.772)
O (0.182, 0.888, 0.772)
O (0.219, 0.068, 0.096)
O (0.219, 0.432, 0.096)
O (0.285, 0.570, 0.407)
O (0.285, 0.930, 0.407)
O (0.323, 0.119, 0.725)
O (0.323, 0.381, 0.725)
O (0.416, 0.250, 0.372)
O (0.584, 0.750, 0.628)
O (0.677, 0.619, 0.275)
O (0.677, 0.881, 0.275)
O (0.715, 0.070, 0.593)
O (0.715, 0.430, 0.593)
O (0.781, 0.568, 0.904)
O (0.781, 0.932, 0.904)
O (0.818, 0.112, 0.228)
O (0.818, 0.388, 0.228)
O (0.904, 0.250, 0.857)


(2)
Computed, not measured: an optimized crystal structure of MgTi3O6 at the PBE level of DFT.

Summary:
Calculated total energy (eV per cell): -83.56
E_form (eV per atom): -3.27
Space-group type: Cm, No. 8

a b c (Å): 7.193 7.193 5.184
angles (deg): 94.33 94.33 23.81
Positions (direct):
Mg (0.000, 0.000, 0.000)
Ti (0.205, 0.205, 0.046)
Ti (0.548, 0.548, 0.510)
Ti (0.846, 0.846, 0.578)
O (0.104, 0.104, 0.731)
O (0.282, 0.282, 0.379)
O (0.437, 0.437, 0.772)
O (0.609, 0.609, 0.180)
O (0.772, 0.772, 0.883)
O (0.959, 0.959, 0.356)


(3)
Computed, not measured: an optimized crystal structure of MgTi4O8 at the PBE level of DFT.

Summary:
Calculated total energy (eV per cell): -110.17
E_form (eV per atom): -3.30
Space-group type: Pm, No. 6
ΔE to the lowest computed polymorph (meV per atom): 38

a b c (Å): 5.198 2.984 9.414
angles (deg): 90.00 92.51 90.00
Positions (direct):
Mg (0.000, 0.000, 0.000)
Ti (0.023, 0.000, 0.307)
Ti (0.372, 0.000, 0.772)
Ti (0.505, 0.500, 0.073)
Ti (0.852, 0.500, 0.564)
O (0.052, 0.000, 0.665)
O (0.151, 0.500, 0.407)
O (0.210, 0.500, 0.908)
O (0.306, 0.000, 0.158)
O (0.554, 0.500, 0.681)
O (0.630, 0.000, 0.941)
O (0.739, 0.000, 0.435)
O (0.857, 0.500, 0.159)


(4)
Computed, not measured: an optimized crystal structure of MgTi3O6 at the PBE level of DFT.

Summary:
Calculated total energy (eV per cell): -83.33
E_form (eV per atom): -3.25
Space-group type: P1, No. 1

a b c (Å): 2.937 5.131 7.326
angles (deg): 89.60 78.45 89.93
Positions (direct):
Mg (0.000, 0.000, 0.000)
Ti (0.053, 0.506, 0.898)
Ti (0.351, 0.497, 0.302)
Ti (0.708, 0.995, 0.586)
O (0.134, 0.808, 0.734)
O (0.256, 0.226, 0.489)
O (0.478, 0.725, 0.047)
O (0.582, 0.241, 0.841)
O (0.804, 0.728, 0.397)
O (0.925, 0.318, 0.155)


(5)
Computed, not measured: an optimized crystal structure of Mg3Ti9O20 at the PBE level of DFT.

Summary:
Calculated total energy (eV per cell): -270.55
E_form (eV per atom): -3.42
Space-group type: Cm, No. 8

a b c (Å): 10.806 10.806 5.265
angles (deg): 97.27 97.27 138.94
Positions (direct):
Mg (0.000, 0.000, 0.000)
Mg (0.057, 0.556, 0.222)
Mg (0.556, 0.057, 0.222)
Ti (0.128, 0.813, 0.879)
Ti (0.239, 0.427, 0.340)
Ti (0.316, 0.634, 0.889)
Ti (0.427, 0.239, 0.340)
Ti (0.500, 0.500, 0.999)
Ti (0.634, 0.316, 0.889)
Ti (0.747, 0.933, 0.346)
Ti (0.813, 0.128, 0.879)
Ti (0.933, 0.747, 0.346)
O (0.065, 0.702, 0.520)
O (0.092, 0.405, 0.992)
O (0.150, 0.972, 0.239)
O (0.200, 0.561, 0.523)
O (0.266, 0.764, 0.053)
O (0.301, 0.301, 0.160)
O (0.360, 0.491, 0.710)
O (0.405, 0.092, 0.992)
O (0.469, 0.650, 0.234)
O (0.491, 0.360, 0.710)
O (0.561, 0.200, 0.523)
O (0.590, 0.905, 0.986)
O (0.650, 0.469, 0.234)
O (0.702, 0.065, 0.520)
O (0.764, 0.266, 0.053)
O (0.779, 0.779, 0.155)
O (0.855, 0.992, 0.702)
O (0.905, 0.590, 0.986)
O (0.972, 0.150, 0.239)
O (0.992, 0.855, 0.702)


(6)
Computed, not measured: an optimized crystal structure of MgTi4O8 at the PBE level of DFT.

Summary:
Calculated total energy (eV per cell): -109.91
E_form (eV per atom): -3.28
Space-group type: R-3m, No. 166
ΔE to the lowest computed polymorph (meV per atom): 59

a b c (Å): 5.915 5.915 5.915
angles (deg): 61.20 61.20 61.20
Positions (direct):
Mg (0.000, 0.000, 0.000)
Ti (0.000, 0.500, 0.500)
Ti (0.500, 0.000, 0.500)
Ti (0.500, 0.500, 0.000)
Ti (0.500, 0.500, 0.500)
O (0.255, 0.255, 0.719)
O (0.255, 0.719, 0.255)
O (0.266, 0.266, 0.266)
O (0.281, 0.745, 0.745)
O (0.719, 0.255, 0.255)
O (0.734, 0.734, 0.734)
O (0.745, 0.281, 0.745)
O (0.745, 0.745, 0.281)